[1]
This record from Materials Project describes a relaxed structure of Li5Fe3B4O12. The functional is PBE+U.

```
data_Li5Fe3B4O12
_cell_length_a 5.246
_cell_length_b 8.981
_cell_length_c 11.231
_cell_angle_alpha 90.00
_cell_angle_beta 116.15
_cell_angle_gamma 90.00
_symmetry_space_group_name_H-M 'P 1 c 1'
_symmetry_Int_Tables_number 7
_symmetry_space_group_name_Hall 'P -2yc'
loop_
_atom_site_label
_atom_site_fract_x
_atom_site_fract_y
_atom_site_fract_z
_atom_site_occupancy
Li1 0.000 0.085 0.000 1
Li2 0.044 0.233 0.546 1
Li3 0.093 0.406 0.771 1
Li4 0.458 0.239 0.979 1
Li5 0.610 0.260 0.772 1
Fe1 0.031 0.277 0.217 1
Fe2 0.520 0.427 0.514 1
Fe3 0.576 0.071 0.261 1
B1 0.000 0.425 0.005 1
B2 0.093 0.078 0.764 1
B3 0.506 0.084 0.513 1
B4 0.573 0.417 0.256 1
O1 0.173 0.061 0.232 1
O2 0.227 0.409 0.975 1
O3 0.244 0.203 0.766 1
O4 0.350 0.420 0.291 1
O5 0.381 0.215 0.520 1
O6 0.435 0.048 0.059 1
O7 0.683 0.276 0.246 1
O8 0.688 0.458 0.730 1
O9 0.709 0.077 0.462 1
O10 0.855 0.295 0.013 1
O11 0.861 0.083 0.793 1
O12 0.920 0.437 0.532 1
```

## Properties
energy with MP2020 corrections	-7.42	eV per atom
raw total energy	-6.796	eV per atom
DFT formation energy	-2.38	eV/atom

[2]
This record from Materials Project describes a relaxed structure of LiFe2B2O6. The functional is PBE+U.

```
data_LiFe2B2O6
_cell_length_a 5.272
_cell_length_b 9.125
_cell_length_c 10.120
_cell_angle_alpha 89.60
_cell_angle_beta 89.04
_cell_angle_gamma 89.52
_symmetry_space_group_name_H-M 'P 1'
_symmetry_Int_Tables_number 1
_symmetry_space_group_name_Hall 'P 1'
loop_
_atom_site_label
_atom_site_fract_x
_atom_site_fract_y
_atom_site_fract_z
_atom_site_occupancy
Li1 0.000 0.000 0.000 1
Li2 0.031 0.988 0.497 1
Li3 0.527 0.485 0.477 1
Li4 0.660 0.650 0.748 1
Fe1 0.003 0.655 0.970 1
Fe2 0.029 0.316 0.457 1
Fe3 0.169 0.475 0.715 1
Fe4 0.176 0.813 0.214 1
Fe5 0.494 0.172 0.964 1
Fe6 0.527 0.818 0.459 1
Fe7 0.662 0.991 0.715 1
Fe8 0.672 0.319 0.209 1
B1 0.016 0.653 0.467 1
B2 0.167 0.812 0.709 1
B3 0.173 0.485 0.217 1
B4 0.510 0.827 0.956 1
B5 0.514 0.153 0.464 1
B6 0.666 0.986 0.208 1
B7 0.677 0.322 0.706 1
B8 0.998 0.318 0.961 1
O1 0.012 0.932 0.691 1
O2 0.013 0.373 0.256 1
O3 0.063 0.679 0.749 1
O4 0.066 0.618 0.175 1
O5 0.109 0.445 0.908 1
O6 0.125 0.188 0.961 1
O7 0.138 0.781 0.419 1
O8 0.165 0.532 0.506 1
O9 0.257 0.144 0.464 1
O10 0.259 0.835 0.006 1
O11 0.429 0.470 0.226 1
O12 0.429 0.822 0.684 1
O13 0.513 0.874 0.257 1
O14 0.530 0.449 0.695 1
O15 0.560 0.120 0.176 1
O16 0.575 0.193 0.752 1
O17 0.630 0.959 0.916 1
O18 0.638 0.698 0.941 1
O19 0.642 0.278 0.422 1
O20 0.658 0.030 0.511 1
O21 0.752 0.330 0.013 1
O22 0.758 0.648 0.477 1
O23 0.922 0.960 0.191 1
O24 0.930 0.328 0.667 1
```

## Properties
energy with MP2020 corrections	-7.90	eV per atom
raw total energy	-7.111	eV per atom
offset from the most stable computed form	0.12	eV per formula unit
DFT formation energy	-2.27	eV/atom

[3]
This record from Materials Project describes a relaxed structure of LiFe2B2O6. The functional is PBE+U.

```
data_LiFe2B2O6
_cell_length_a 5.285
_cell_length_b 9.079
_cell_length_c 11.359
_cell_angle_alpha 113.35
_cell_angle_beta 102.44
_cell_angle_gamma 90.16
_symmetry_space_group_name_H-M 'P 1'
_symmetry_Int_Tables_number 1
_symmetry_space_group_name_Hall 'P 1'
loop_
_atom_site_label
_atom_site_fract_x
_atom_site_fract_y
_atom_site_fract_z
_atom_site_occupancy
Li1 0.000 0.000 0.000 1
Li2 0.063 0.393 0.743 1
Li3 0.326 0.618 0.251 1
Li4 0.562 0.887 0.744 1
Fe1 0.042 0.704 0.707 1
Fe2 0.232 0.908 0.462 1
Fe3 0.294 0.267 0.219 1
Fe4 0.488 0.817 0.968 1
Fe5 0.547 0.204 0.718 1
Fe6 0.741 0.400 0.453 1
Fe7 0.798 0.779 0.216 1
Fe8 0.994 0.334 0.973 1
B1 0.033 0.038 0.713 1
B2 0.242 0.567 0.461 1
B3 0.281 0.938 0.208 1
B4 0.482 0.145 0.955 1
B5 0.546 0.530 0.713 1
B6 0.746 0.074 0.470 1
B7 0.795 0.452 0.218 1
B8 0.991 0.660 0.955 1
O1 0.018 0.568 0.506 1
O2 0.035 0.430 0.181 1
O3 0.090 0.518 0.936 1
O4 0.109 0.776 0.924 1
O5 0.137 0.055 0.194 1
O6 0.208 0.837 0.266 1
O7 0.257 0.172 0.000 1
O8 0.274 0.021 0.675 1
O9 0.332 0.702 0.450 1
O10 0.374 0.430 0.429 1
O11 0.415 0.400 0.716 1
O12 0.448 0.682 0.756 1
O13 0.505 0.903 0.159 1
O14 0.521 0.075 0.518 1
O15 0.593 0.247 0.910 1
O16 0.606 0.005 0.945 1
O17 0.659 0.577 0.215 1
O18 0.694 0.341 0.259 1
O19 0.773 0.702 0.006 1
O20 0.776 0.512 0.670 1
O21 0.845 0.209 0.466 1
O22 0.866 0.933 0.430 1
O23 0.907 0.913 0.721 1
O24 0.930 0.187 0.744 1
```

## Properties
energy with MP2020 corrections	-7.89	eV per atom
raw total energy	-7.107	eV per atom
offset from the most stable computed form	0.16	eV per formula unit
DFT formation energy	-2.26	eV/atom

[4]
This record from Materials Project describes a relaxed structure of LiFe2B2O6. The functional is PBE+U.

```
data_LiFe2B2O6
_cell_length_a 5.280
_cell_length_b 9.070
_cell_length_c 11.409
_cell_angle_alpha 66.62
_cell_angle_beta 77.39
_cell_angle_gamma 89.82
_symmetry_space_group_name_H-M 'P 1'
_symmetry_Int_Tables_number 1
_symmetry_space_group_name_Hall 'P 1'
loop_
_atom_site_label
_atom_site_fract_x
_atom_site_fract_y
_atom_site_fract_z
_atom_site_occupancy
Li1 0.000 0.000 0.000 1
Li2 0.070 0.370 0.244 1
Li3 0.739 0.745 0.501 1
Li4 0.810 0.136 0.751 1
Fe1 0.042 0.014 0.281 1
Fe2 0.236 0.574 0.531 1
Fe3 0.295 0.946 0.778 1
Fe4 0.485 0.156 0.037 1
Fe5 0.544 0.538 0.277 1
Fe6 0.729 0.073 0.529 1
Fe7 0.786 0.455 0.777 1
Fe8 0.985 0.648 0.027 1
B1 0.026 0.682 0.285 1
B2 0.245 0.907 0.527 1
B3 0.271 0.278 0.785 1
B4 0.483 0.827 0.036 1
B5 0.541 0.206 0.279 1
B6 0.729 0.405 0.534 1
B7 0.795 0.787 0.774 1
B8 0.988 0.309 0.031 1
O1 0.001 0.934 0.493 1
O2 0.005 0.773 0.829 1
O3 0.079 0.426 0.059 1
O4 0.102 0.160 0.062 1
O5 0.141 0.138 0.801 1
O6 0.162 0.423 0.741 1
O7 0.250 0.839 0.998 1
O8 0.258 0.653 0.325 1
O9 0.356 0.019 0.563 1
O10 0.374 0.779 0.523 1
O11 0.416 0.339 0.278 1
O12 0.439 0.107 0.229 1
O13 0.516 0.273 0.819 1
O14 0.530 0.451 0.471 1
O15 0.590 0.681 0.084 1
O16 0.622 0.967 0.022 1
O17 0.685 0.659 0.761 1
O18 0.694 0.939 0.729 1
O19 0.770 0.171 0.326 1
O20 0.771 0.323 0.975 1
O21 0.828 0.258 0.558 1
O22 0.828 0.514 0.578 1
O23 0.894 0.808 0.296 1
O24 0.927 0.572 0.244 1
```

## Properties
energy with MP2020 corrections	-7.89	eV per atom
raw total energy	-7.109	eV per atom
offset from the most stable computed form	0.14	eV per formula unit
DFT formation energy	-2.27	eV/atom

What did the first record say?
This record from Materials Project describes a relaxed structure of Li5Fe3B4O12. The functional is PBE+U.

```
data_Li5Fe3B4O12
_cell_length_a 5.246
_cell_length_b 8.981
_cell_length_c 11.231
_cell_angle_alpha 90.00
_cell_angle_beta 116.15
_cell_angle_gamma 90.00
_symmetry_space_group_name_H-M 'P 1 c 1'
_symmetry_Int_Tables_number 7
_symmetry_space_group_name_Hall 'P -2yc'
loop_
_atom_site_label
_atom_site_fract_x
_atom_site_fract_y
_atom_site_fract_z
_atom_site_occupancy
Li1 0.000 0.085 0.000 1
Li2 0.044 0.233 0.546 1
Li3 0.093 0.406 0.771 1
Li4 0.458 0.239 0.979 1
Li5 0.610 0.260 0.772 1
Fe1 0.031 0.277 0.217 1
Fe2 0.520 0.427 0.514 1
Fe3 0.576 0.071 0.261 1
B1 0.000 0.425 0.005 1
B2 0.093 0.078 0.764 1
B3 0.506 0.084 0.513 1
B4 0.573 0.417 0.256 1
O1 0.173 0.061 0.232 1
O2 0.227 0.409 0.975 1
O3 0.244 0.203 0.766 1
O4 0.350 0.420 0.291 1
O5 0.381 0.215 0.520 1
O6 0.435 0.048 0.059 1
O7 0.683 0.276 0.246 1
O8 0.688 0.458 0.730 1
O9 0.709 0.077 0.462 1
O10 0.855 0.295 0.013 1
O11 0.861 0.083 0.793 1
O12 0.920 0.437 0.532 1
```

## Properties
energy with MP2020 corrections	-7.42	eV per atom
raw total energy	-6.796	eV per atom
DFT formation energy	-2.38	eV/atom